Record 1
AlCdCu3Se4: optimized geometry, PBE-GGA.

Cell and atoms, written as extended XYZ:
```
9
Lattice="-1.613 4.856 2.870 -4.961 -2.641 1.681 2.683 -1.965 4.833" Properties=species:S:1:pos:R:3 pbc="T T T"
Cu 1.342 -0.982 2.416
Cu -0.806 2.428 1.435
Cu -2.481 -1.321 0.840
Al 0.000 0.000 0.000
Se -2.120 -2.353 5.646
Se -0.366 1.574 6.269
Se -0.927 0.060 2.235
Se -4.370 1.219 4.618
Cd -1.946 0.125 4.692
```

**Size of the total moment**: 0.021 μB per formula unit
**Energy relative to the elements**: -11.56 kcal/mol of atoms
**MP2020-corrected energy**: -3.94 eV per atom



Record 2
K3Pd2O4: optimized geometry, PBE-GGA.

Cell and atoms, written as extended XYZ:
```
18
Lattice="3.114 -4.662 0.000 3.114 4.662 0.000 0.000 0.000 11.555" Properties=species:S:1:pos:R:3 pbc="T T T"
K 3.114 -1.389 0.788
K 3.114 1.389 6.566
K 3.114 1.959 2.889
K 3.114 -1.959 8.666
K 3.114 -1.389 4.990
K 3.114 1.389 10.767
O 1.324 -0.733 10.214
O 1.324 0.733 1.341
O 4.904 0.733 4.436
O 1.324 -0.733 7.119
O 4.904 0.733 1.341
O 1.324 0.733 4.436
O 4.904 -0.733 7.119
O 4.904 -0.733 10.214
Pd 0.000 0.000 0.000
Pd 3.114 -3.964 2.889
Pd 3.114 3.964 8.666
Pd 0.000 0.000 5.778
```

**Energy relative to the elements**: -30.86 kcal/mol of atoms
**MP2020-corrected energy**: -5.06 eV per atom



Record 3
Na17Zr7Sc5Si6P12O72: optimized geometry, PBE-GGA.

Cell and atoms, written as extended XYZ:
```
119
Lattice="-3.662 -6.214 -5.647 8.776 -0.960 2.741 -7.058 -11.783 17.760" Properties=species:S:1:pos:R:3 pbc="T T T"
O 2.956 -8.455 2.805
O 0.961 -5.509 7.239
O -4.699 -11.667 3.845
O 3.357 -8.284 8.714
O -2.922 -13.365 7.618
O -4.221 -18.069 13.750
O -2.181 -11.481 12.967
O -1.068 -5.688 0.649
O -0.903 -13.931 10.304
O -5.059 -12.531 8.602
O 5.589 -5.108 8.268
O 5.406 -3.319 5.782
O -7.005 -14.215 14.069
O -2.903 -13.855 12.552
O 3.161 -6.372 6.222
O 0.012 -12.779 17.134
O -0.690 -10.227 1.555
O 4.863 -6.854 2.772
O 2.202 -9.397 6.071
O 3.846 -2.892 -0.452
O -4.028 -9.671 8.776
O -3.965 -16.444 11.862
O -5.227 -10.707 6.092
O -7.359 -15.617 9.002
O -2.126 -8.064 8.749
O -4.869 -10.972 16.470
O 3.925 -5.254 -1.437
O -2.823 -11.121 5.552
O -7.904 -14.723 11.477
O -1.136 -16.222 12.421
O -1.219 -8.659 13.190
O 5.950 -4.251 3.523
O -1.743 -10.626 8.431
O -6.841 -12.142 12.197
O -7.477 -13.813 6.543
O -0.831 -3.346 -1.486
O 0.420 -7.215 -2.614
O 0.012 -12.952 8.125
O 0.727 -7.863 9.360
O -0.963 -2.733 2.493
O 0.131 -10.929 6.224
O -4.736 -10.637 12.023
O -3.533 -8.450 -0.280
O 1.638 -10.467 15.191
O -0.274 -8.297 6.464
O 2.029 -9.798 10.472
O -1.983 -5.930 6.774
O -5.836 -13.662 16.189
O 1.885 -4.556 5.048
O -3.957 -9.281 4.317
O -1.036 -13.326 14.228
O 1.998 -2.541 3.157
O -2.274 -9.696 10.687
O -3.439 -12.883 14.789
O 2.758 -7.267 11.079
O -2.024 -6.076 -2.283
O -3.012 -6.527 4.511
O -5.732 -16.025 15.213
O 0.233 -7.620 1.756
O 2.960 -8.076 -1.618
O 5.012 -4.707 0.806
O -4.075 -7.521 1.978
O -1.063 -4.983 4.547
O 2.320 -0.836 1.042
O -2.280 -11.787 17.507
O 1.562 -6.098 -0.004
O 0.963 -5.089 2.362
O 2.121 -11.455 12.803
O -1.103 -15.585 16.338
O 1.099 -12.415 10.279
O -3.820 -14.270 9.840
O 0.329 -9.282 4.089
P 0.387 -13.567 9.507
P -2.401 -12.841 13.643
P -4.320 -7.334 0.454
P 4.674 -4.193 -0.619
P 2.235 -5.160 6.444
P 6.440 -3.266 4.625
P -2.319 -5.416 5.348
P -0.786 -11.672 17.889
P -4.190 -10.688 4.937
P -6.616 -14.793 15.480
P -4.191 -13.799 8.396
P -2.525 -9.507 9.172
Na 5.939 -2.490 1.720
Na -3.151 -15.894 14.189
Na 5.186 -6.868 11.554
Na -2.939 -8.227 6.369
Na -0.769 -8.465 -0.265
Na -1.804 -8.389 3.130
Na -5.462 -14.291 11.827
Na -5.989 -11.862 14.492
Na -3.015 -12.066 10.732
Na 3.391 -4.697 2.845
Na 1.013 -10.626 8.446
Na -4.791 -9.946 2.012
Na -7.919 -16.466 13.231
Na 4.083 -7.028 0.316
Na -0.036 -10.560 11.927
Na -3.088 -5.237 2.348
Na -1.293 -7.426 11.054
Sc -3.205 -9.541 12.785
Sc -0.340 -6.975 7.928
Sc -2.141 -4.798 -0.760
Sc 3.710 -8.301 6.769
Sc 1.981 -6.174 -1.939
Zr -4.075 -12.800 16.931
Zr 0.303 -14.185 15.512
Zr -5.822 -10.590 8.224
Zr -2.290 -15.376 10.982
Zr -1.449 -12.100 6.786
Zr 1.159 -9.377 2.257
Zr 0.408 -3.719 3.716
Si -8.401 -15.662 10.218
Si 0.610 -9.431 5.698
Si 2.224 -8.259 9.884
Si 0.436 -6.084 1.163
Si -1.161 -7.271 -2.990
Si -6.308 -10.675 11.646
```

**Size of the total moment**: 0.005 μB per formula unit
**Energy relative to the elements**: -71.37 kcal/mol of atoms
**MP2020-corrected energy**: -7.87 eV per atom



Record 4
Ca3Y2Si3O12: optimized geometry, PBE-GGA.

Cell and atoms, written as extended XYZ:
```
80
Lattice="-6.345 6.345 6.345 6.345 -6.345 6.345 6.345 6.345 -6.345" Properties=species:S:1:pos:R:3 pbc="T T T"
Ca 3.173 1.586 0.000
Ca 4.759 6.345 3.173
Ca 3.173 -1.586 6.345
Ca 6.345 3.173 -1.586
Ca -1.586 6.345 3.173
Ca 0.000 3.173 1.586
Ca 3.173 7.932 0.000
Ca 3.173 4.759 6.345
Ca 0.000 3.173 7.932
Ca 1.586 0.000 3.173
Ca 7.932 0.000 3.173
Ca 6.345 3.173 4.759
O 3.850 3.698 -1.090
O 7.436 2.495 2.648
O 0.678 8.428 0.525
O 1.090 2.495 3.698
O 4.263 6.870 5.668
O -0.525 0.678 2.082
O 2.082 -0.525 0.678
O 5.820 -0.678 2.082
O 8.840 2.648 -1.090
O -1.090 8.840 2.648
O 2.495 3.698 1.090
O 0.525 7.023 4.263
O 4.263 0.525 7.023
O 7.436 -2.495 3.698
O 3.698 1.090 2.495
O 5.668 -2.082 5.820
O 2.648 7.436 2.495
O -2.495 3.698 7.436
O 2.648 -1.090 8.840
O 7.436 3.850 -3.698
O 0.678 4.263 5.820
O 5.820 0.678 4.263
O 5.668 2.082 0.525
O 8.428 0.525 0.678
O 2.648 5.255 3.850
O -1.090 3.850 3.698
O 4.263 5.820 0.678
O -1.090 2.495 10.043
O 0.525 5.668 2.082
O 2.082 0.525 5.668
O 3.698 -1.090 3.850
O 7.023 4.263 0.525
O 2.495 2.648 7.436
O 5.668 4.263 6.870
O 3.698 7.436 -2.495
O 0.525 0.678 8.428
O 3.850 -3.698 7.436
O 5.255 3.850 2.648
O -0.678 2.082 5.820
O 2.495 10.043 -1.090
O 10.043 -1.090 2.495
O 6.870 5.668 4.263
O 5.820 5.668 -2.082
O -2.082 5.820 5.668
O -3.698 7.436 3.850
O 2.082 5.820 -0.678
O 3.850 2.648 5.255
O 0.678 2.082 -0.525
Y -3.173 3.173 3.173
Y 0.000 0.000 6.345
Y 6.345 0.000 0.000
Y 0.000 6.345 0.000
Y 3.173 3.173 -3.173
Y 3.173 3.173 3.173
Y 3.173 -3.173 3.173
Y 0.000 0.000 0.000
Si 3.173 1.586 6.345
Si 4.759 0.000 3.173
Si 4.759 6.345 -3.173
Si 1.586 6.345 3.173
Si 1.586 0.000 9.518
Si 0.000 3.173 4.759
Si 3.173 4.759 0.000
Si 6.345 -3.173 4.759
Si 6.345 3.173 1.586
Si 0.000 9.518 1.586
Si 9.518 1.586 0.000
Si -3.173 4.759 6.345
```

**Size of the total moment**: 0.008 μB per formula unit
**Energy relative to the elements**: -82.33 kcal/mol of atoms
**MP2020-corrected energy**: -8.30 eV per atom



Record 5
AlSn3Se2ClO8: optimized geometry, PBE-GGA.

Cell and atoms, written as extended XYZ:
```
30
Lattice="-1.899 2.848 6.142 -5.714 5.398 -4.302 -7.060 -7.637 -0.211" Properties=species:S:1:pos:R:3 pbc="T T T"
O -11.905 -1.399 1.427
O -5.206 -0.954 0.338
O -9.093 -0.254 -0.377
O -4.447 -0.167 2.834
O -9.924 0.044 -3.229
O -11.742 -1.056 -1.239
O -9.515 -2.408 -2.568
O -1.945 1.229 0.820
O -9.540 -3.822 0.022
O -7.564 0.939 1.458
O -3.842 2.582 2.178
O -9.930 1.969 0.964
O -4.499 -2.740 2.125
O -4.049 1.974 5.035
O -6.264 2.029 3.723
O -7.083 6.308 0.120
Cl -8.392 -1.217 4.190
Cl -6.833 2.154 -3.003
Sn -3.868 0.509 -0.653
Sn -7.990 7.346 1.848
Sn -11.907 1.135 1.496
Sn -8.270 1.544 3.456
Sn -9.191 -4.424 -2.083
Sn -3.672 -3.530 0.232
Al -10.040 -0.900 -1.740
Al -4.604 1.518 3.385
Se -5.472 -1.324 2.010
Se -5.495 5.600 0.193
Se -9.251 -4.892 1.360
Se -8.559 1.341 0.112
```

**Size of the total moment**: 0.001 μB per formula unit
**Energy relative to the elements**: -38.56 kcal/mol of atoms
**Excess energy over the best structure of this formula in the dataset**: 8 meV/atom
**MP2020-corrected energy**: -5.95 eV per atom



Record 6
ScTl2W: optimized geometry, PBE-GGA.

Cell and atoms, written as extended XYZ:
```
4
Lattice="0.000 3.469 3.469 3.469 0.000 3.469 3.469 3.469 0.000" Properties=species:S:1:pos:R:3 pbc="T T T"
Tl 1.735 1.735 1.735
Tl 5.204 5.204 5.204
Sc 0.000 0.000 0.000
W 3.469 3.469 3.469
```

**Size of the total moment**: 0.004 μB per formula unit
**Energy relative to the elements**: 13.42 kcal/mol of atoms



Record 7
Gd3P4Pd7: optimized geometry, PBE-GGA.

Cell and atoms, written as extended XYZ:
```
14
Lattice="-7.977 -0.476 0.563 -6.608 -3.203 3.200 -5.155 4.041 6.854" Properties=species:S:1:pos:R:3 pbc="T T T"
Gd -2.578 2.020 3.427
Gd -5.574 -0.459 2.418
Gd -14.166 0.820 8.198
P -5.044 2.358 5.055
P -8.857 1.793 6.450
P -14.696 -1.997 5.561
P -10.883 -1.432 4.167
Pd 0.000 0.000 0.000
Pd -16.887 0.663 9.448
Pd -12.559 -0.654 5.840
Pd -11.197 1.360 7.216
Pd -8.544 -0.999 3.400
Pd -2.853 -0.302 1.168
Pd -7.181 1.015 4.777
```

**Energy relative to the elements**: -22.83 kcal/mol of atoms



Record 8
Os3C10O10: optimized geometry, PBE-GGA.

Cell and atoms, written as extended XYZ:
```
46
Lattice="8.750 0.000 0.000 -4.222 8.330 0.000 -2.063 -1.316 12.055" Properties=species:S:1:pos:R:3 pbc="T T T"
C 3.305 -0.073 4.136
C -0.781 3.406 3.642
C 0.284 3.106 1.163
C -3.168 6.358 2.178
C 1.140 1.477 5.181
C 5.633 0.655 9.877
C 2.427 0.846 1.576
C 2.181 3.908 10.892
C 1.325 5.536 6.874
C 3.246 3.607 8.414
C -0.340 0.329 9.445
C 0.038 6.168 10.480
C 3.079 2.767 3.552
C -0.841 7.086 7.919
C 6.497 1.999 1.749
C -0.614 4.246 8.503
C 2.805 6.685 2.610
C 6.491 0.268 7.381
C -4.032 5.014 10.307
C -4.026 6.746 4.674
O 0.629 0.929 9.667
O 0.641 1.675 6.211
O 2.688 0.655 0.461
O 1.707 3.244 11.723
O 1.823 5.338 5.844
O -0.979 4.260 4.411
O -0.224 6.358 11.595
O -2.968 4.883 10.757
O -3.841 6.213 5.693
O 3.760 3.708 3.611
O 4.919 1.421 10.391
O 5.433 2.130 1.298
O -1.295 3.306 8.444
O 0.758 3.770 0.332
O 6.306 0.801 6.362
O 3.444 2.753 7.645
O 1.835 6.085 2.388
O 2.590 -0.501 7.506
O -0.125 7.514 4.550
O -2.454 5.592 1.664
Os 0.458 5.839 8.600
Os 6.765 -0.577 9.034
Os 2.927 5.032 9.587
Os -4.300 7.590 3.021
Os 2.007 1.174 3.456
Os -0.462 1.982 2.469
```

**Size of the total moment**: 2.066 μB per formula unit
**Energy relative to the elements**: -19.14 kcal/mol of atoms
**MP2020-corrected energy**: -8.46 eV per atom



Record 9
HgC4Br3N: optimized geometry, PBE-GGA.

Cell and atoms, written as extended XYZ:
```
36
Lattice="-2.632 7.423 16.011 3.406 -7.000 3.805 8.961 2.928 0.115" Properties=species:S:1:pos:R:3 pbc="T T T"
Br 6.432 9.294 14.528
Br 1.361 -1.418 2.785
Br 4.152 4.844 6.849
Br 4.345 2.097 11.989
Br 6.096 -0.736 3.648
Br 3.796 -4.261 5.241
Br 6.556 5.873 10.939
Br 2.544 -3.803 10.018
Br 7.451 1.931 7.667
Br 4.673 1.076 18.624
Br 9.186 2.479 12.207
Br 1.658 3.187 16.075
C 8.186 5.193 16.293
C 2.732 4.824 9.403
C 1.223 6.254 12.424
C 8.457 -2.746 7.844
C 6.975 4.738 16.233
C 4.605 4.014 16.124
C 0.902 -0.019 7.570
C 1.073 6.877 13.507
C 8.719 -3.134 6.630
C 3.389 3.729 16.053
C 2.133 0.383 7.514
C 7.989 -4.252 4.533
C 4.518 1.065 7.534
C 5.735 1.348 7.600
C 1.341 5.569 11.324
C 8.237 -2.327 9.010
N 5.812 4.319 16.174
N 3.312 0.755 7.473
N 2.059 5.177 10.343
N 8.340 -3.699 5.548
Hg 6.756 2.414 12.035
Hg 7.294 6.048 8.617
Hg 3.683 -6.199 3.759
Hg 3.739 -1.205 3.275
```

**Size of the total moment**: 0.001 μB per formula unit
**Energy relative to the elements**: 16.18 kcal/mol of atoms
**Excess energy over the best structure of this formula in the dataset**: 116 meV/atom
**MP2020-corrected energy**: -4.91 eV per atom